No. 1
Here is a relaxed Li4Ni5Sb3O16 crystal from Materials Project. Energies are from PBE with a Hubbard U.

## Properties
Energy with MP2020 corrections = -174.64 eV per cell
E_form = -1.662 eV/atom
M_tot = 7.00 μB/cell
SG = No. 1

Unit cell a=6.0026 b=6.0518 c=9.6598 alpha=89.98 beta=90.86 gamma=120.27
Atoms (fractional coordinates):
Li1 0.9576 0.9787 0.9922
Li2 0.9741 0.9870 0.5040
Li3 0.3377 0.6690 0.8770
Li4 0.6590 0.3297 0.3970
O1 0.5259 0.4860 0.8356
O2 0.0105 0.0053 0.3193
O3 0.8540 0.6821 0.1016
O4 0.0016 0.9994 0.8102
O5 0.3202 0.1601 0.1011
O6 0.4751 0.9650 0.3402
O7 0.8541 0.1719 0.1015
O8 0.3270 0.6635 0.0993
O9 0.1581 0.3167 0.6033
O10 0.6778 0.8388 0.6118
O11 0.0299 0.5150 0.3377
O12 0.4750 0.5104 0.3401
O13 0.5256 0.0400 0.8353
O14 0.1579 0.8408 0.6030
O15 0.6664 0.3345 0.6043
O16 0.9637 0.4821 0.8248
Ni1 0.3405 0.6700 0.4959
Ni2 0.8320 0.6618 0.7142
Ni3 0.6922 0.3461 0.9821
Ni4 0.6649 0.8324 0.2168
Ni5 0.8321 0.1702 0.7145
Sb1 0.3418 0.1710 0.7144
Sb2 0.1725 0.3395 0.2153
Sb3 0.1725 0.8330 0.2153

***

No. 2
Here is a relaxed LiCoPO4 crystal from Materials Project. Energies are from PBE with a Hubbard U.

## Properties
Energy above the lowest structure with this stoichiometry = 485 meV per atom
Energy with MP2020 corrections = -762.99 eV per cell
E_form = -1.923 eV/atom
M_tot = 0.07 μB/cell
SG = No. 9

Unit cell a=10.0405 b=10.0405 c=17.3767 alpha=71.94 beta=71.94 gamma=58.84
Atoms (fractional coordinates):
O1 0.1705 0.6718 0.0496
O2 0.6721 0.6733 0.5486
O3 0.0409 0.3562 0.6078
O4 0.6417 0.5848 0.7009
O5 0.6068 0.1737 0.0496
O6 0.8576 0.4186 0.3008
O7 0.8568 0.0417 0.1084
O8 0.0417 0.8568 0.6084
O9 0.5848 0.6417 0.2009
O10 0.1419 0.5835 0.7012
O11 0.8067 0.1034 0.8632
O12 0.8299 0.3276 0.9514
O13 0.6067 0.7292 0.3627
O14 0.6461 0.9591 0.8908
O15 0.8643 0.9208 0.2983
O16 0.1061 0.1733 0.0497
O17 0.3276 0.8299 0.4514
O18 0.0110 0.4563 0.8866
O19 0.3938 0.2715 0.6396
O20 0.4198 0.3563 0.8000
O21 0.1733 0.1061 0.5497
O22 0.8256 0.3940 0.4526
O23 0.6940 0.8977 0.1404
O24 0.9581 0.1436 0.3922
O25 0.1034 0.8067 0.3632
O26 0.8960 0.8229 0.9509
O27 0.6733 0.6721 0.0486
O28 0.6038 0.2329 0.3617
O29 0.2329 0.6038 0.8617
O30 0.8229 0.8960 0.4509
O31 0.1021 0.3046 0.3621
O32 0.7705 0.3946 0.1393
O33 0.5835 0.1419 0.2012
O34 0.3634 0.9198 0.2989
O35 0.3284 0.3263 0.9522
O36 0.8977 0.6940 0.6404
O37 0.9591 0.6461 0.3908
O38 0.3940 0.8256 0.9526
O39 0.9208 0.8643 0.7983
O40 0.5498 0.4887 0.6150
O41 0.1737 0.6068 0.5496
O42 0.5444 0.9897 0.6132
O43 0.7292 0.6067 0.8627
O44 0.9198 0.3634 0.7989
O45 0.3263 0.3284 0.4522
O46 0.9897 0.5444 0.1132
O47 0.6357 0.0782 0.7027
O48 0.3946 0.7705 0.6393
O49 0.8959 0.1934 0.6401
O50 0.1347 0.0841 0.7029
O51 0.4186 0.8576 0.8008
O52 0.5132 0.4501 0.8864
O53 0.4501 0.5132 0.3864
O54 0.1436 0.9581 0.8922
O55 0.3562 0.0409 0.1078
O56 0.0841 0.1347 0.2029
O57 0.3563 0.4198 0.3000
O58 0.4887 0.5498 0.1150
O59 0.1934 0.8959 0.1401
O60 0.2715 0.3938 0.1396
O61 0.6718 0.1705 0.5496
O62 0.4563 0.0110 0.3866
O63 0.3046 0.1021 0.8621
O64 0.0782 0.6357 0.2027
Co1 0.8764 0.2409 0.0637
Co2 0.7414 0.3135 0.5651
Co3 0.0608 0.6301 0.8147
Co4 0.6248 0.5607 0.3155
Co5 0.7422 0.8147 0.5648
Co6 0.8147 0.7422 0.0648
Co7 0.6301 0.0608 0.3147
Co8 0.0025 0.1289 0.8137
Co9 0.3771 0.2398 0.0641
Co10 0.5607 0.6248 0.8155
Co11 0.1229 0.5023 0.3127
Co12 0.2398 0.3771 0.5641
Co13 0.3135 0.7414 0.0651
Co14 0.2409 0.8764 0.5637
Co15 0.5023 0.1229 0.8127
Co16 0.1289 0.0025 0.3137
P1 0.1863 0.0602 0.1246
P2 0.0622 0.6866 0.6249
P3 0.8734 0.4391 0.8753
P4 0.9369 0.3137 0.3775
P5 0.1268 0.5606 0.1260
P6 0.5633 0.6285 0.6261
P7 0.3745 0.4344 0.8752
P8 0.0602 0.1863 0.6246
P9 0.3137 0.9369 0.8775
P10 0.4344 0.3745 0.3752
P11 0.8155 0.9388 0.8764
P12 0.6866 0.0622 0.1249
P13 0.9388 0.8155 0.3764
P14 0.6285 0.5633 0.1261
P15 0.4391 0.8734 0.3753
P16 0.5606 0.1268 0.6260
Li1 0.9384 0.3683 0.1893
Li2 0.6848 0.2595 0.9392
Li3 0.8768 0.4951 0.6884
Li4 0.1220 0.7586 0.9390
Li5 0.4410 0.3741 0.1875
Li6 0.1839 0.2597 0.9386
Li7 0.8717 0.9946 0.6888
Li8 0.3683 0.9384 0.6893
Li9 0.2595 0.6848 0.4392
Li10 0.2597 0.1839 0.4386
Li11 0.3741 0.4410 0.6875
Li12 0.7586 0.1220 0.4390
Li13 0.9946 0.8717 0.1888
Li14 0.6208 0.7618 0.9394
Li15 0.7618 0.6208 0.4394
Li16 0.4951 0.8768 0.1884

***

No. 3
Here is a relaxed VOF crystal from Materials Project. Energies are from PBE with a Hubbard U.

## Properties
Energy with MP2020 corrections = -97.56 eV per cell
E_form = -2.815 eV/atom
M_tot = 8.00 μB/cell
SG = No. 62

Unit cell a=3.3076 b=5.2550 c=7.2380 alpha=90.00 beta=90.00 gamma=90.00
Atoms (fractional coordinates):
O1 0.2500 0.3968 0.6259
O2 0.7500 0.8968 0.8741
O3 0.2500 0.1032 0.1259
O4 0.7500 0.6032 0.3741
V1 0.7500 0.8664 0.1552
V2 0.2500 0.1336 0.8448
V3 0.2500 0.3664 0.3448
V4 0.7500 0.6336 0.6552
F1 0.7500 0.3817 0.8845
F2 0.2500 0.8817 0.6155
F3 0.2500 0.6183 0.1155
F4 0.7500 0.1183 0.3845

***

No. 4
Here is a relaxed Li2MnF4 crystal from Materials Project. Energies are from PBE with a Hubbard U.

## Properties
Energy above the lowest structure with this stoichiometry = 52 meV per atom
Energy with MP2020 corrections = -166.73 eV per cell
E_form = -3.006 eV/atom
M_tot = 20.00 μB/cell
SG = No. 62

Unit cell a=3.0068 b=9.1801 c=10.3683 alpha=90.00 beta=90.00 gamma=90.00
Atoms (fractional coordinates):
F1 0.2500 0.0301 0.2783
F2 0.7500 0.0964 0.0697
F3 0.7500 0.8719 0.4607
F4 0.7500 0.9699 0.7217
F5 0.2500 0.2142 0.8088
F6 0.2500 0.9036 0.9303
F7 0.2500 0.7142 0.6912
F8 0.2500 0.1281 0.5393
F9 0.7500 0.4699 0.7783
F10 0.7500 0.3719 0.0393
F11 0.2500 0.4036 0.5697
F12 0.7500 0.7858 0.1912
F13 0.7500 0.2858 0.3088
F14 0.2500 0.6281 0.9607
F15 0.7500 0.5964 0.4303
F16 0.2500 0.5301 0.2217
Li1 0.2500 0.4341 0.3840
Li2 0.2500 0.9341 0.1160
Li3 0.2500 0.4266 0.8866
Li4 0.7500 0.0734 0.3866
Li5 0.7500 0.5734 0.1134
Li6 0.7500 0.5659 0.6160
Li7 0.2500 0.9266 0.6134
Li8 0.7500 0.0659 0.8840
Mn1 0.2500 0.7497 0.3459
Mn2 0.2500 0.2497 0.1541
Mn3 0.7500 0.7503 0.8459
Mn4 0.7500 0.2503 0.6541

***

No. 5
Here is a relaxed Na6Co2PC4O16 crystal from Materials Project. Energies are from PBE with a Hubbard U.

## Properties
Energy with MP2020 corrections = -403.95 eV per cell
E_form = -2.011 eV/atom
M_tot = 14.00 μB/cell
SG = No. 203

Unit cell a=9.8679 b=9.8679 c=9.8679 alpha=60.00 beta=60.00 gamma=60.00
Atoms (fractional coordinates):
Co1 0.6250 0.1250 0.6250
Co2 0.6250 0.6250 0.6250
Co3 0.6250 0.6250 0.1250
Co4 0.1250 0.6250 0.6250
O1 0.9840 0.7246 0.8161
O2 0.1855 0.1855 0.4436
O3 0.0645 0.0645 0.0645
O4 0.4339 0.2660 0.5254
O5 0.9840 0.4753 0.7246
O6 0.4339 0.7747 0.2660
O7 0.8161 0.4753 0.9840
O8 0.5254 0.4339 0.2660
O9 0.7747 0.5254 0.2660
O10 0.7246 0.4753 0.8161
O11 0.2660 0.4339 0.7747
O12 0.2660 0.5254 0.4339
O13 0.4436 0.1855 0.1855
O14 0.9840 0.8161 0.4753
O15 0.5254 0.2660 0.7747
O16 0.4753 0.9840 0.8161
O17 0.8161 0.9840 0.7246
O18 0.0645 0.0645 0.8064
O19 0.7246 0.8161 0.9840
O20 0.1855 0.4436 0.1855
O21 0.5254 0.7747 0.4339
O22 0.7246 0.9840 0.4753
O23 0.2660 0.7747 0.5254
O24 0.1855 0.1855 0.1855
O25 0.0645 0.8064 0.0645
O26 0.7747 0.4339 0.5254
O27 0.8064 0.0645 0.0645
O28 0.7747 0.2660 0.4339
O29 0.4339 0.5254 0.7747
O30 0.8161 0.7246 0.4753
O31 0.4753 0.7246 0.9840
O32 0.4753 0.8161 0.7246
Na1 0.4586 0.4586 0.0414
Na2 0.7914 0.2086 0.7914
Na3 0.0414 0.0414 0.4586
Na4 0.4586 0.0414 0.4586
Na5 0.4586 0.0414 0.0414
Na6 0.2086 0.2086 0.7914
Na7 0.0414 0.4586 0.4586
Na8 0.2086 0.7914 0.7914
Na9 0.2086 0.7914 0.2086
Na10 0.0414 0.4586 0.0414
Na11 0.7914 0.2086 0.2086
Na12 0.7914 0.7914 0.2086
C1 0.4093 0.4093 0.7721
C2 0.8407 0.4779 0.8407
C3 0.4093 0.7721 0.4093
C4 0.8407 0.8407 0.4779
C5 0.7721 0.4093 0.4093
C6 0.4093 0.4093 0.4093
C7 0.4779 0.8407 0.8407
C8 0.8407 0.8407 0.8407
P1 0.2500 0.2500 0.2500
P2 0.0000 0.0000 0.0000

***

No. 6
Here is a relaxed Li9Mn2Co5O16 crystal from Materials Project. Energies are from PBE with a Hubbard U.

## Properties
Energy above the lowest structure with this stoichiometry = 74 meV per atom
Energy with MP2020 corrections = -207.48 eV per cell
E_form = -1.790 eV/atom
M_tot = 1.99 μB/cell
SG = No. 2

Unit cell a=4.9699 b=5.8787 c=9.7410 alpha=98.58 beta=93.59 gamma=90.08
Atoms (fractional coordinates):
O1 0.9452 0.1550 0.6170
O2 0.5534 0.0951 0.3829
O3 0.1830 0.0263 0.1071
O4 0.4466 0.9049 0.6171
O5 0.8170 0.9737 0.8929
O6 0.1561 0.5272 0.1110
O7 0.5537 0.5941 0.3815
O8 0.0548 0.8450 0.3830
O9 0.8439 0.4728 0.8890
O10 0.3069 0.7388 0.8899
O11 0.9454 0.6553 0.6168
O12 0.3070 0.2074 0.8898
O13 0.6931 0.2612 0.1101
O14 0.0546 0.3447 0.3832
O15 0.6930 0.7926 0.1102
O16 0.4463 0.4059 0.6185
Mn1 0.0002 0.7469 0.0001
Mn2 0.9998 0.2531 0.9999
Li1 0.1352 0.9400 0.7527
Li2 0.8622 0.5605 0.2462
Li3 0.1378 0.4395 0.7538
Li4 0.6155 0.6866 0.7537
Li5 0.3845 0.3134 0.2463
Li6 0.6148 0.1910 0.7527
Li7 0.3852 0.8090 0.2473
Li8 0.5000 0.5000 0.0000
Li9 0.8648 0.0600 0.2473
Co1 0.2490 0.6251 0.4995
Co2 0.7510 0.3749 0.5005
Co3 0.2492 0.1249 0.4996
Co4 0.7508 0.8751 0.5004
Co5 0.5000 0.0000 0.0000

***

No. 7
Here is a relaxed Na2Ti3MnSi4O22 crystal from Materials Project. Energies are from PBE with a Hubbard U.

## Properties
Energy above the lowest structure with this stoichiometry = 0 meV per atom
Energy with MP2020 corrections = -233.18 eV per cell
E_form = -2.098 eV/atom
M_tot = 1.00 μB/cell
SG = No. 1

Unit cell a=5.6972 b=7.0108 c=12.2243 alpha=86.62 beta=78.12 gamma=85.34
Atoms (fractional coordinates):
O1 0.6809 0.7338 0.8748
O2 0.0891 0.7609 0.5406
O3 0.6443 0.1997 0.2154
O4 0.8682 0.8338 0.8333
O5 0.8515 0.4628 0.5152
O6 0.9456 0.5708 0.0072
O7 0.2794 0.3829 0.3729
O8 0.4286 0.9723 0.3727
O9 0.4073 0.0930 0.7523
O10 0.3809 0.3602 0.8475
O11 0.9474 0.1648 0.3755
O12 0.7454 0.8166 0.1689
O13 0.3399 0.7078 0.0663
O14 0.0537 0.9899 0.9896
O15 0.5216 0.0314 0.0066
O16 0.8967 0.7428 0.3608
O17 0.6089 0.1391 0.7062
O18 0.2017 0.3769 0.1557
O19 0.1787 0.9955 0.1927
O20 0.1610 0.1616 0.5592
O21 0.5997 0.8040 0.5610
O22 0.5852 0.3862 0.7935
Si1 0.8530 0.6989 0.4967
Si2 0.0489 0.2917 0.4634
Si3 0.2637 0.9496 0.0588
Si4 0.1670 0.5379 0.0646
Na1 0.7923 0.4649 0.2757
Na2 0.3123 0.7087 0.2864
Ti1 0.3319 0.1904 0.2626
Ti2 0.3239 0.9265 0.5221
Ti3 0.7808 0.8462 0.0094
Mn1 0.8075 0.9772 0.2805

***

No. 8
Here is a relaxed Li3VPCO7 crystal from Materials Project. Energies are from PBE with a Hubbard U.

## Properties
Energy above the lowest structure with this stoichiometry = 0 meV per atom
Energy with MP2020 corrections = -382.82 eV per cell
E_form = -2.432 eV/atom
M_tot = 0.00 μB/cell

Unit cell a=6.6099 b=8.5323 c=10.0080 alpha=83.44 beta=90.00 gamma=90.00
Atoms (fractional coordinates):
C1 0.7500 0.0362 0.8357
C2 0.7500 0.0362 0.3357
C3 0.2500 0.9638 0.6643
C4 0.2500 0.9638 0.1643
O1 0.7500 0.1580 0.7434
O2 0.7500 0.5675 0.7916
O3 0.5672 0.6942 0.0810
O4 0.2500 0.5740 0.4160
O5 0.9328 0.6942 0.5810
O6 0.0672 0.3058 0.9190
O7 0.2500 0.8420 0.2566
O8 0.2500 0.8420 0.7566
O9 0.7500 0.8937 0.3034
O10 0.2500 0.9339 0.0400
O11 0.2500 0.1063 0.1966
O12 0.0672 0.3058 0.4190
O13 0.2500 0.9339 0.5400
O14 0.2500 0.5740 0.9160
O15 0.9328 0.6942 0.0810
O16 0.7500 0.0661 0.4600
O17 0.4328 0.3058 0.9190
O18 0.2500 0.1063 0.6966
O19 0.7500 0.4260 0.5840
O20 0.4328 0.3058 0.4190
O21 0.7500 0.4260 0.0840
O22 0.7500 0.5675 0.2916
O23 0.5672 0.6942 0.5810
O24 0.7500 0.8937 0.8034
O25 0.7500 0.1580 0.2434
O26 0.2500 0.4325 0.7084
O27 0.2500 0.4325 0.2084
O28 0.7500 0.0661 0.9600
Li1 0.5219 0.7206 0.3664
Li2 0.0219 0.2794 0.1336
Li3 0.9781 0.7206 0.3664
Li4 0.7500 0.8949 0.6021
Li5 0.2500 0.1051 0.3979
Li6 0.0219 0.2794 0.6336
Li7 0.2500 0.1051 0.8979
Li8 0.7500 0.8949 0.1021
Li9 0.4781 0.2794 0.6336
Li10 0.5219 0.7206 0.8664
Li11 0.9781 0.7206 0.8664
Li12 0.4781 0.2794 0.1336
V1 0.2500 0.6743 0.1043
V2 0.7500 0.3257 0.8957
V3 0.2500 0.6743 0.6043
V4 0.7500 0.3257 0.3957
P1 0.2500 0.4100 0.8657
P2 0.7500 0.5900 0.6343
P3 0.2500 0.4100 0.3657
P4 0.7500 0.5900 0.1343

***

No. 9
Here is a relaxed BaCo2P2O8 crystal from Materials Project. Energies are from PBE with a Hubbard U.

## Properties
Energy above the lowest structure with this stoichiometry = 0 meV per atom
Energy with MP2020 corrections = -199.86 eV per cell
E_form = -2.568 eV/atom
M_tot = 0.00 μB/cell
SG = No. 14

Unit cell a=5.0496 b=8.2576 c=9.3371 alpha=92.39 beta=90.00 gamma=90.00
Atoms (fractional coordinates):
Co1 0.5674 0.6498 0.7928
Co2 0.4326 0.3502 0.2072
Co3 0.9327 0.6498 0.2928
Co4 0.0673 0.3502 0.7072
P1 0.9955 0.2651 0.3641
P2 0.4955 0.7349 0.1359
P3 0.0045 0.7349 0.6359
P4 0.5045 0.2651 0.8641
O1 0.3515 0.1430 0.7656
O2 0.1485 0.1431 0.2657
O3 0.1123 0.4359 0.3262
O4 0.8515 0.8569 0.7343
O5 0.6122 0.5641 0.1738
O6 0.6920 0.2590 0.3446
O7 0.9442 0.7760 0.4781
O8 0.8877 0.5641 0.6738
O9 0.1920 0.7409 0.1554
O10 0.3080 0.7410 0.6554
O11 0.4442 0.2241 0.0219
O12 0.0558 0.2240 0.5219
O13 0.6485 0.8570 0.2344
O14 0.8080 0.2591 0.8446
O15 0.3878 0.4359 0.8262
O16 0.5558 0.7759 0.9781
Ba1 0.0000 0.0000 0.0000
Ba2 0.5000 0.0000 0.5000

***

Look up the E_form of the fifth one. -2.011 eV/atom

***

energy with MP2020 corrections of number 1 (Li4Ni5Sb3O16)? -174.64 eV per cell